(1)
# MgZn2Bi3O8

A relaxed structure of MgZn2Bi3O8 (PBE-GGA, the Materials Project).

Unit cell a=5.386 b=6.502 c=6.623 alpha=100.43 beta=111.98 gamma=90.88
Space group P-1 (No. 2)
One atom of each set of equivalent atoms:
Mg (0.000, 0.000, 0.000)
Zn (0.384, 0.743, 0.838)
Bi (0.000, 0.500, 0.000)
Bi (0.285, 0.186, 0.566)
O (0.134, 0.954, 0.712)
O (0.171, 0.454, 0.731)
O (0.267, 0.267, 0.179)
O (0.298, 0.792, 0.120)

Output
Its energy above the most stable polymorph in this dataset is 0 meV/atom. As for the crystal system: triclinic. As for the volume: 210.7 Å³/f.u. The formation energy is -1.800 eV/atom.

***

(2)
# Ce5Si3

A relaxed structure of Ce5Si3 (PBE-GGA, the Materials Project).

Unit cell a=7.744 b=7.744 c=12.904 alpha=90.00 beta=90.00 gamma=90.00
Space group I4/mcm (No. 140)
One atom of each set of equivalent atoms:
Ce (0.000, 0.000, 0.000)
Ce (0.181, 0.319, 0.154)
Si (0.000, 0.000, 0.250)
Si (0.114, 0.386, 0.500)

Output
Its energy above the most stable polymorph in this dataset is 0 meV/atom. As for the crystal system: tetragonal. As for the volume: 193.5 Å³/f.u. The formation energy is -0.530 eV/atom.